[1]
VASP calculation (PBE-GGA) on an optimized crystal structure of RbTh3F13.

Calculated values
Total energy = -6.825 eV per atom
Crystal system = orthorhombic
Polymorph energy (0 for the lowest one) = 0 kJ/mol of formula units
Total energy after the MP2020 corrections = -244.1 eV for the cell shown
ΔH_f (0 K) = -4.349 eV per atom

Cell lengths 7.5209, 8.2531, 8.7296 Å; angles 90.00, 90.00, 90.00 degrees
Positions (direct):
F1 0.4525 0.6985 0.0968
F2 0.0338 0.0000 0.2349
F3 0.7718 0.5000 0.3680
F4 0.8855 0.8066 0.4565
F5 0.8241 0.2551 0.1450
F6 0.4020 0.0000 0.9569
F7 0.1759 0.7449 0.6450
F8 0.2282 0.5000 0.8680
F9 0.8855 0.1934 0.4565
F10 0.5475 0.3015 0.5968
F11 0.5475 0.6985 0.5968
F12 0.6949 0.8265 0.8663
F13 0.3051 0.1735 0.3663
F14 0.9662 0.0000 0.7349
F15 0.1759 0.2551 0.6450
F16 0.6949 0.1735 0.8663
F17 0.3051 0.8265 0.3663
F18 0.1145 0.1934 0.9565
F19 0.3610 0.0000 0.6786
F20 0.8241 0.7449 0.1450
F21 0.5606 0.5000 0.8457
F22 0.4394 0.5000 0.3457
F23 0.5980 0.0000 0.4569
F24 0.6390 0.0000 0.1786
F25 0.4525 0.3015 0.0968
F26 0.1145 0.8066 0.9565
Th1 0.6033 0.2525 0.3349
Th2 0.6033 0.7475 0.3349
Th3 0.1083 0.0000 0.5002
Th4 0.8917 0.0000 0.0002
Th5 0.3967 0.7475 0.8349
Th6 0.3967 0.2525 0.8349
Rb1 0.8948 0.5000 0.6952
Rb2 0.1052 0.5000 0.1952

---

[2]
VASP calculation (PBE-GGA) on an optimized crystal structure of Sb2H20Cl12O9.

Calculated values
Total energy = -4.234 eV per atom
Crystal system = monoclinic
Magnetic moment = 0.0 μB per cell
Total energy after the MP2020 corrections = -376.5 eV for the cell shown
ΔH_f (0 K) = -1.056 eV per atom

Cell lengths 11.9525, 11.9525, 12.6413 Å; angles 59.95, 59.95, 61.06 degrees
Positions (direct):
O1 0.0454 0.9546 0.7500
O2 0.5084 0.1963 0.5307
O3 0.2659 0.0196 0.5267
O4 0.6959 0.7748 0.5248
O5 0.1963 0.5084 0.0307
O6 0.2252 0.3041 0.9752
O7 0.5550 0.7650 0.2267
O8 0.7650 0.5550 0.7267
O9 0.7341 0.9804 0.4733
O10 0.9804 0.7341 0.9733
O11 0.2350 0.4450 0.2733
O12 0.4916 0.8037 0.4693
O13 0.8037 0.4916 0.9693
O14 0.0196 0.2659 0.0267
O15 0.3041 0.2252 0.4752
O16 0.4450 0.2350 0.7733
O17 0.7748 0.6959 0.0248
O18 0.9546 0.0454 0.2500
Cl1 0.9678 0.3213 0.5670
Cl2 0.0322 0.6787 0.4330
Cl3 0.3820 0.7363 0.8091
Cl4 0.2477 0.0679 0.7969
Cl5 0.6180 0.2637 0.1909
Cl6 0.1306 0.8236 0.0725
Cl7 0.8694 0.1764 0.9275
Cl8 0.4279 0.1183 0.1965
Cl9 0.9321 0.7523 0.7031
Cl10 0.2637 0.6180 0.6909
Cl11 0.3636 0.5477 0.4212
Cl12 0.6787 0.0322 0.9330
Cl13 0.8236 0.1306 0.5725
Cl14 0.4523 0.6364 0.0788
Cl15 0.8817 0.5721 0.3035
Cl16 0.0679 0.2477 0.2969
Cl17 0.7363 0.3820 0.3091
Cl18 0.7523 0.9321 0.2031
Cl19 0.1764 0.8694 0.4275
Cl20 0.5721 0.8817 0.8035
Cl21 0.1183 0.4279 0.6965
Cl22 0.5477 0.3636 0.9212
Cl23 0.6364 0.4523 0.5788
Cl24 0.3213 0.9678 0.0670
Sb1 0.1447 0.6492 0.5634
Sb2 0.8553 0.3508 0.4366
Sb3 0.3508 0.8553 0.9366
Sb4 0.6492 0.1447 0.0634
H1 0.6165 0.7821 0.5110
H2 0.2179 0.3835 0.9890
H3 0.7017 0.7088 0.1083
H4 0.5356 0.2788 0.4746
H5 0.2912 0.2983 0.3917
H6 0.6577 0.0587 0.4984
H7 0.9413 0.3423 0.0016
H8 0.9832 0.9906 0.7031
H9 0.4727 0.1962 0.6203
H10 0.7085 0.8754 0.5004
H11 0.1246 0.2915 0.9996
H12 0.0118 0.8003 0.8855
H13 0.1962 0.4727 0.1203
H14 0.8754 0.7085 0.0004
H15 0.7088 0.7017 0.6083
H16 0.8003 0.0118 0.3855
H17 0.7821 0.6165 0.0111
H18 0.2915 0.1246 0.4996
H19 0.2788 0.5356 0.9746
H20 0.9882 0.1997 0.1145
H21 0.2983 0.2912 0.8917
H22 0.7053 0.4977 0.7777
H23 0.3835 0.2179 0.4890
H24 0.1541 0.4932 0.3308
H25 0.8038 0.5273 0.8797
H26 0.2947 0.5023 0.2223
H27 0.3423 0.9413 0.5016
H28 0.9906 0.9832 0.2031
H29 0.5068 0.8459 0.1692
H30 0.7212 0.4644 0.0254
H31 0.5023 0.2947 0.7223
H32 0.8459 0.5068 0.6692
H33 0.0168 0.0094 0.2969
H34 0.0094 0.0168 0.7969
H35 0.4644 0.7212 0.5254
H36 0.4932 0.1541 0.8308
H37 0.0587 0.6577 0.9984
H38 0.5273 0.8038 0.3797
H39 0.1997 0.9882 0.6145
H40 0.4977 0.7053 0.2777

---

[3]
VASP calculation (PBE-GGA) on an optimized crystal structure of Na3HfTaGe3O12.

Calculated values
Total energy = -7.177 eV per atom
Crystal system = monoclinic
Magnetic moment = 0.0 μB per cell
Total energy after the MP2020 corrections = -910.7 eV for the cell shown
ΔH_f (0 K) = -2.638 eV per atom

Cell lengths 9.3771, 9.3937, 23.1085 Å; angles 90.00, 90.26, 120.06 degrees
Positions (direct):
Na1 0.3294 0.2954 0.9158
Na2 0.9903 0.9790 0.4980
Na3 0.6633 0.6996 0.0819
Na4 0.3310 0.6662 0.6647
Na5 0.6664 0.3349 0.8313
Na6 0.3020 0.9620 0.0822
Na7 0.3712 0.0041 0.7492
Na8 0.9928 0.6299 0.2487
Na9 0.3712 0.3671 0.2492
Na10 0.3310 0.6648 0.1647
Na11 0.3294 0.0340 0.4158
Na12 0.6664 0.3315 0.3313
Na13 0.3020 0.3399 0.5822
Na14 0.9696 0.2948 0.4152
Na15 0.9696 0.6747 0.9152
Na16 0.9903 0.0114 0.9980
Na17 0.9928 0.3630 0.7487
Na18 0.6633 0.9637 0.5819
O1 0.4814 0.1783 0.2460
O2 0.1586 0.9628 0.1894
O3 0.8504 0.3739 0.9215
O4 0.1846 0.4847 0.2536
O5 0.3613 0.8509 0.5799
O6 0.9770 0.1800 0.3144
O7 0.8264 0.9948 0.4134
O8 0.1606 0.4973 0.5800
O9 0.6817 0.5146 0.2459
O10 0.0288 0.8440 0.4122
O11 0.6967 0.5232 0.5223
O12 0.1338 0.6292 0.3536
O13 0.8263 0.5268 0.0229
O14 0.6335 0.4832 0.9216
O15 0.8403 0.0341 0.8067
O16 0.8264 0.8316 0.9134
O17 0.4863 0.8524 0.3594
O18 0.4983 0.6493 0.5789
O19 0.8403 0.8062 0.3067
O20 0.0311 0.8463 0.6926
O21 0.8363 0.3298 0.2469
O22 0.5129 0.1600 0.9209
O23 0.8504 0.4765 0.4215
O24 0.3033 0.8370 0.9779
O25 0.0288 0.1848 0.9122
O26 0.8664 0.3562 0.6463
O27 0.1707 0.4723 0.9736
O28 0.1835 0.0391 0.5888
O29 0.4863 0.6340 0.8594
O30 0.6314 0.4952 0.6414
O31 0.5081 0.8192 0.7552
O32 0.8478 0.8246 0.5879
O33 0.4957 0.3648 0.1453
O34 0.8034 0.9703 0.6861
O35 0.8363 0.5064 0.7469
O36 0.1846 0.6998 0.7536
O37 0.2027 0.0326 0.3117
O38 0.5129 0.3529 0.4209
O39 0.2947 0.8118 0.2553
O40 0.8478 0.0231 0.0879
O41 0.6314 0.1362 0.1414
O42 0.5081 0.6889 0.2552
O43 0.6335 0.1503 0.4216
O44 0.4726 0.1736 0.5230
O45 0.4814 0.3031 0.7460
O46 0.1606 0.6632 0.0800
O47 0.9770 0.7970 0.8144
O48 0.1660 0.1817 0.4130
O49 0.2947 0.4829 0.7553
O50 0.3033 0.4662 0.4779
O51 0.1338 0.5046 0.8536
O52 0.1707 0.6985 0.4736
O53 0.1835 0.1444 0.0888
O54 0.6817 0.1671 0.7459
O55 0.8034 0.8331 0.1861
O56 0.0311 0.1848 0.1926
O57 0.4957 0.1309 0.6453
O58 0.3609 0.5023 0.3549
O59 0.9689 0.8187 0.0876
O60 0.1586 0.1958 0.6894
O61 0.6967 0.1735 0.0223
O62 0.8664 0.5102 0.1463
O63 0.4726 0.2991 0.0230
O64 0.5376 0.6930 0.9814
O65 0.9689 0.1501 0.5876
O66 0.3609 0.8586 0.8549
O67 0.1660 0.9844 0.9130
O68 0.3613 0.5103 0.0799
O69 0.4983 0.8490 0.0789
O70 0.5376 0.8446 0.4814
O71 0.8263 0.2995 0.5229
O72 0.2027 0.1702 0.8117
Hf1 0.6666 0.3296 0.1876
Hf2 0.6666 0.3369 0.6876
Hf3 0.3304 0.6622 0.0210
Hf4 0.3304 0.6682 0.5210
Hf5 0.9970 0.9991 0.8542
Hf6 0.9970 0.9979 0.3542
Ge1 0.2913 0.2932 0.7508
Ge2 0.7066 0.9939 0.7488
Ge3 0.0387 0.3748 0.9153
Ge4 0.9578 0.3349 0.5842
Ge5 0.2913 0.9981 0.2508
Ge6 0.9578 0.6230 0.0842
Ge7 0.6248 0.6688 0.9188
Ge8 0.3732 0.3314 0.0840
Ge9 0.7066 0.7127 0.2488
Ge10 0.0387 0.6639 0.4153
Ge11 0.3396 0.9594 0.9169
Ge12 0.9987 0.2902 0.2515
Ge13 0.6726 0.6269 0.5831
Ge14 0.3732 0.0418 0.5840
Ge15 0.6248 0.9560 0.4188
Ge16 0.9987 0.7085 0.7515
Ge17 0.6726 0.0458 0.0831
Ge18 0.3396 0.3802 0.4169
Ta1 0.6668 0.3367 0.4784
Ta2 0.3354 0.6685 0.3118
Ta3 0.3354 0.6669 0.8118
Ta4 0.9993 0.9985 0.6452
Ta5 0.6668 0.3301 0.9784
Ta6 0.9993 0.0009 0.1452

---

[4]
VASP calculation (PBE-GGA) on an optimized crystal structure of Li2UN2.

Calculated values
Total energy = -7.280 eV per atom
Crystal system = trigonal
Magnetic moment = 2.0 μB per cell
Total energy after the MP2020 corrections = -37.1 eV for the cell shown
ΔH_f (0 K) = -1.068 eV per atom

Cell lengths 3.4930, 3.4930, 5.5452 Å; angles 90.00, 90.00, 120.00 degrees
Positions (direct):
Li1 0.3333 0.6667 0.6059
Li2 0.6667 0.3333 0.3941
N1 0.6667 0.3333 0.7743
N2 0.3333 0.6667 0.2257
U1 0.0000 0.0000 0.0000

---

[5]
VASP calculation (PBE-GGA) on an optimized crystal structure of U2Si4W3.

Calculated values
Total energy = -9.556 eV per atom
Crystal system = monoclinic
ΔH_f (0 K) = -0.317 eV per atom

Cell lengths 6.9038, 6.7500, 6.8842 Å; angles 70.21, 90.00, 90.00 degrees
Positions (direct):
Si1 0.0439 0.6316 0.0885
Si2 0.4561 0.1316 0.0885
Si3 0.8676 0.1323 0.5014
Si4 0.5439 0.8684 0.9115
Si5 0.9561 0.3684 0.9115
Si6 0.3676 0.3677 0.4986
Si7 0.6324 0.6323 0.5014
Si8 0.1324 0.8677 0.4986
W1 0.6632 0.2529 0.7547
W2 0.5000 0.0000 0.5000
W3 0.0000 0.5000 0.5000
W4 0.1632 0.2471 0.2453
W5 0.3368 0.7471 0.2453
W6 0.8368 0.7529 0.7547
U1 0.6653 0.4429 0.1861
U2 0.3347 0.5571 0.8139
U3 0.1653 0.0571 0.8139
U4 0.8347 0.9429 0.1861

---

[6]
VASP calculation (PBE-GGA) on an optimized crystal structure of Ta2ZnS4.

Calculated values
Total energy = -6.769 eV per atom
Crystal system = trigonal
Magnetic moment = 0.0 μB per cell
Total energy after the MP2020 corrections = -49.4 eV for the cell shown
ΔH_f (0 K) = -1.125 eV per atom

Cell lengths 3.4077, 3.4077, 12.4839 Å; angles 90.00, 90.00, 120.00 degrees
Positions (direct):
Ta1 0.0000 0.0000 0.7517
Ta2 0.0000 0.0000 0.2483
Zn1 0.0000 0.0000 0.5000
S1 0.3333 0.6667 0.3745
S2 0.3333 0.6667 0.1268
S3 0.6667 0.3333 0.6255
S4 0.6667 0.3333 0.8732

---

[7]
VASP calculation (PBE-GGA) on an optimized crystal structure of Sb2Se3.

Calculated values
Total energy = -3.930 eV per atom
Crystal system = orthorhombic
Magnetic moment = 0.0 μB per cell
Total energy after the MP2020 corrections = -84.3 eV for the cell shown
ΔH_f (0 K) = -0.464 eV per atom

Cell lengths 3.9642, 14.3109, 13.0502 Å; angles 90.00, 90.00, 90.00 degrees
Positions (direct):
Se1 0.2500 0.2079 0.7053
Se2 0.7500 0.7921 0.2947
Se3 0.2500 0.8528 0.0402
Se4 0.7500 0.3528 0.4598
Se5 0.7500 0.1472 0.9598
Se6 0.2500 0.9322 0.7144
Se7 0.2500 0.5678 0.2144
Se8 0.7500 0.0678 0.2856
Se9 0.7500 0.7079 0.7947
Se10 0.7500 0.4322 0.7856
Se11 0.2500 0.2921 0.2053
Se12 0.2500 0.6472 0.5402
Sb1 0.2500 0.2629 0.8936
Sb2 0.2500 0.2371 0.3936
Sb3 0.7500 0.6148 0.3457
Sb4 0.2500 0.1148 0.1543
Sb5 0.7500 0.7371 0.1064
Sb6 0.2500 0.3852 0.6543
Sb7 0.7500 0.7629 0.6064
Sb8 0.7500 0.8852 0.8457

---

[8]
VASP calculation (PBE-GGA) on an optimized crystal structure of BaSiC.

Calculated values
Total energy = -5.348 eV per atom
Crystal system = orthorhombic
Magnetic moment = 0.0 μB per cell
Polymorph energy (0 for the lowest one) = 0 kJ/mol of formula units
ΔH_f (0 K) = 0.176 eV per atom

Cell lengths 6.1198, 8.9065, 11.4187 Å; angles 90.00, 90.00, 90.00 degrees
Positions (direct):
Si1 0.4423 0.2154 0.8402
Si2 0.5577 0.2846 0.3402
Si3 0.5577 0.7846 0.1598
Si4 0.9423 0.2846 0.3402
Si5 0.0577 0.2154 0.8402
Si6 0.4423 0.7154 0.6598
Si7 0.0577 0.7154 0.6598
Si8 0.9423 0.7846 0.1598
Ba1 0.7500 0.1178 0.0764
Ba2 0.2500 0.3822 0.5764
Ba3 0.7500 0.6178 0.4236
Ba4 0.7500 0.0246 0.6547
Ba5 0.7500 0.5246 0.8453
Ba6 0.2500 0.8822 0.9236
Ba7 0.2500 0.4754 0.1547
Ba8 0.2500 0.9754 0.3453
C1 0.7500 0.1465 0.4341
C2 0.2500 0.7035 0.5169
C3 0.7500 0.6465 0.0659
C4 0.2500 0.8535 0.5659
C5 0.2500 0.2035 0.9831
C6 0.2500 0.3535 0.9341
C7 0.7500 0.7965 0.0169
C8 0.7500 0.2965 0.4831